A geometry-optimized Mg6CrGa structure, computed with GGA-PBE.

```
16
Lattice="-1.9203 -4.4819 0.7576 5.5759 -2.5601 -1.0123 2.2605 0.7959 10.4388" Properties=species:S:1:pos:R:3 pbc="T T T"
Mg 1.6096 -0.5838 0.6258
Mg 4.3488 -1.8415 0.1285
Mg 4.6731 -0.6163 8.1992
Mg 2.4692 -2.1401 9.6681
Mg 5.3169 -3.4476 9.1511
Mg 3.3372 -2.9895 6.8428
Mg 5.5278 -1.4659 5.3391
Mg 2.6912 -0.1635 5.8540
Mg 0.7549 0.2658 3.4859
Mg 4.1269 -3.8181 3.9426
Mg 1.3987 -2.5655 4.4379
Mg -0.5810 -2.1075 2.1295
Cr 3.5336 -1.0175 2.9373
Cr 1.8759 0.6605 8.6628
Ga 2.2167 -3.3841 1.6684
Ga 0.5590 -1.7061 7.3939
```

## Properties
**Calculated total energy**: -2.694 eV per atom
**Mass density**: 2.70 g/cm³
**Distance to the lowest polymorph of the same formula**: 0 meV/atom
**Energy relative to the elements**: 0.09 eV/atom